Material: Nb3Pd
Method: DFT, meta-GGA r2SCAN
State: relaxed

Cell lengths 2.8078, 2.8078, 9.0767 Å; angles 90.00, 90.00, 104.32 degrees
Closest atoms and distances in Å follow each position.
Atoms (fractional coordinates):
Nb 0.0000 0.0000 0.0000  8 Nb 2.81-2.92
Nb 0.5000 0.5000 0.2602  4 Pd 2.78-3.11, 6 Nb 2.81-2.92
Nb 0.5000 0.5000 0.7398  4 Pd 2.78-3.11, 6 Nb 2.81-2.92
Pd 0.0000 0.0000 0.5000  8 Nb 2.78-3.11, 4 Pd 2.81

Values from the calculation:
Formation enthalpy at 0 K: -0.16 eV/atom
Density: 9.2 g/cm3
Crystal system: orthorhombic
Symmetry: Cmmm (65)
Total DFT energy (no corrections): -24.448 eV per atom